(1)
Compound: Li6MnV3P6O24
Source: the Materials Project
Functional: PBE+U
Structure: optimized geometry

Unit cell a=8.5063 b=8.8488 c=12.3891 alpha=90.00 beta=87.75 gamma=89.90
Atoms (fractional coordinates):
1 O 0.4299 0.6001 0.6645
2 O 0.3794 0.1962 0.3154
3 O 0.1233 0.2848 0.1847
4 O 0.2794 0.9061 0.2127
5 O 0.7470 0.4086 0.5071
6 O 0.0675 0.9059 0.8366
7 O 0.7291 0.9017 0.2893
8 O 0.0186 0.5834 0.1044
9 O 0.2523 0.5910 0.4937
10 O 0.3811 0.8057 0.8128
11 O 0.9325 0.9063 0.6647
12 O 0.6191 0.8052 0.6873
13 O 0.7508 0.5886 0.0089
14 O 0.7555 0.5944 0.2085
15 O 0.5720 0.6008 0.8367
16 O 0.6137 0.2041 0.1840
17 O 0.7512 0.0599 0.9775
18 O 0.6556 0.3216 0.9094
19 O 0.7470 0.9369 0.4837
20 O 0.4745 0.1081 0.9074
21 O 0.2485 0.4033 0.7899
22 O 0.5263 0.1065 0.5905
23 O 0.1426 0.1788 0.9070
24 O 0.5330 0.8980 0.0912
25 O 0.5668 0.4044 0.3361
26 O 0.8623 0.8181 0.0910
27 O 0.3568 0.6818 0.0895
28 O 0.9893 0.4145 0.8952
29 O 0.4193 0.4031 0.1656
30 O 0.3466 0.3216 0.5896
31 O 0.7505 0.4041 0.7075
32 O 0.2536 0.6008 0.2936
33 O 0.8551 0.1786 0.5899
34 O 0.6537 0.6775 0.4120
35 O 0.4738 0.8934 0.4087
36 O 0.8718 0.2961 0.3103
37 O 0.8731 0.7023 0.8111
38 O 0.1444 0.8217 0.4117
39 O 0.9219 0.0894 0.1642
40 O 0.2516 0.0627 0.5181
41 O 0.2582 0.4069 0.9897
42 O 0.2747 0.0956 0.7126
43 O 0.2568 0.9411 0.0187
44 O 0.1268 0.7025 0.6899
45 O 0.9889 0.5872 0.3936
46 O 0.7252 0.0978 0.7845
47 O 0.0126 0.4118 0.6048
48 O 0.0628 0.0881 0.3351
49 Mn 0.2101 0.4968 0.1475
50 Mn 0.7109 0.0076 0.1429
51 P 0.6507 0.8523 0.3976
52 P 0.5010 0.7075 0.7501
53 P 0.3552 0.8550 0.1032
54 P 0.8444 0.3550 0.6044
55 P 0.9996 0.7965 0.7504
56 P 0.1570 0.3552 0.8943
57 P 0.3505 0.1471 0.6030
58 P 0.8486 0.6429 0.1049
59 P 0.6513 0.1469 0.8952
60 P 0.9957 0.1989 0.2495
61 P 0.1561 0.6455 0.3964
62 P 0.4953 0.2957 0.2520
63 Li 0.7077 0.1934 0.4514
64 Li 0.4940 0.5039 0.0003
65 Li 0.9906 0.8971 0.2491
66 Li 0.2901 0.1952 0.0500
67 Li 0.4953 0.6012 0.2482
68 Li 0.9956 0.9974 0.0003
69 Li 0.2932 0.8060 0.5486
70 Li 0.7106 0.8068 0.9551
71 Li 0.9993 0.9987 0.4992
72 Li 0.4999 0.5011 0.4993
73 Li 0.0007 0.0996 0.7512
74 Li 0.5006 0.4030 0.7498
75 V 0.2841 0.9972 0.8582
76 V 0.2827 0.0026 0.3585
77 V 0.7872 0.4995 0.8565
78 V 0.2139 0.5003 0.6443
79 V 0.7162 0.9966 0.6420
80 V 0.7855 0.5003 0.3558

V	465.9	Å³/f.u.
energy above the most stable polymorph in this dataset	39	meV per atom
final energy	-7.043	eV per atom
energy with MP2020 corrections	-7.625	eV/atom
spin magnetization	20.00	μB per cell
symmetry	No. 1


(2)
Compound: Li6MnV3P6O24
Source: the Materials Project
Functional: PBE+U
Structure: optimized geometry

Unit cell a=8.7153 b=8.7121 c=12.3592 alpha=89.01 beta=90.00 gamma=90.00
Atoms (fractional coordinates):
1 V 0.9582 0.5039 0.3613
2 V 0.4688 0.0031 0.3597
3 V 0.9688 0.9969 0.6403
4 V 0.5423 0.0033 0.8614
5 V 0.4582 0.4961 0.6387
6 V 0.0423 0.9967 0.1386
7 Li 0.5963 0.6702 0.9479
8 Li 0.7036 0.3360 0.9910
9 Li 0.2036 0.6640 0.0090
10 Li 0.0963 0.3298 0.0521
11 Li 0.2737 0.5391 0.4287
12 Li 0.2957 0.1675 0.5084
13 Li 0.9026 0.1735 0.4474
14 Li 0.4026 0.8265 0.5526
15 Li 0.7957 0.8325 0.4916
16 Li 0.7737 0.4609 0.5713
17 Li 0.7271 0.9612 0.0713
18 Li 0.2271 0.0388 0.9287
19 O 0.3339 0.9165 0.8200
20 O 0.8339 0.0835 0.1800
21 O 0.7206 0.5997 0.0701
22 O 0.1662 0.4174 0.3194
23 O 0.7613 0.5931 0.4387
24 O 0.0094 0.5561 0.0397
25 O 0.1729 0.6870 0.8449
26 O 0.5094 0.4439 0.9603
27 O 0.2206 0.4003 0.9299
28 O 0.3940 0.6751 0.0985
29 O 0.6420 0.1344 0.3255
30 O 0.8940 0.3249 0.9015
31 O 0.9048 0.8198 0.0854
32 O 0.6348 0.7996 0.8156
33 O 0.9096 0.6049 0.2259
34 O 0.1348 0.2004 0.1844
35 O 0.3587 0.3631 0.1716
36 O 0.5494 0.5796 0.2951
37 O 0.0494 0.4204 0.7049
38 O 0.9759 0.3987 0.5102
39 O 0.6056 0.8241 0.4036
40 O 0.4496 0.9204 0.2090
41 O 0.2399 0.9081 0.0637
42 O 0.9918 0.9433 0.4669
43 O 0.2613 0.4069 0.5613
44 O 0.0857 0.8987 0.2776
45 O 0.8270 0.8131 0.6567
46 O 0.0245 0.0994 0.9869
47 O 0.0951 0.6810 0.4164
48 O 0.4048 0.1802 0.9146
49 O 0.3270 0.1869 0.3433
50 O 0.8587 0.6369 0.8284
51 O 0.1056 0.1759 0.5964
52 O 0.5857 0.1013 0.7224
53 O 0.2788 0.9000 0.4308
54 O 0.4096 0.3951 0.7741
55 O 0.4918 0.0567 0.5331
56 O 0.1420 0.8656 0.6745
57 O 0.5951 0.3190 0.5836
58 O 0.6662 0.5826 0.6806
59 O 0.4759 0.6013 0.4898
60 O 0.7399 0.0919 0.9363
61 O 0.3648 0.6996 0.6851
62 O 0.5245 0.9006 0.0131
63 O 0.8648 0.3004 0.3149
64 O 0.6729 0.3130 0.1551
65 O 0.7788 0.1000 0.5692
66 O 0.9496 0.0796 0.7910
67 P 0.5985 0.6450 0.4011
68 P 0.1117 0.8556 0.3964
69 P 0.2522 0.7891 0.7564
70 P 0.7522 0.2109 0.2436
71 P 0.4021 0.8545 0.1015
72 P 0.7486 0.7100 0.7441
73 P 0.9021 0.1455 0.8985
74 P 0.2486 0.2900 0.2559
75 P 0.6117 0.1444 0.6036
76 P 0.8882 0.6444 0.1060
77 P 0.0985 0.3550 0.5989
78 P 0.3882 0.3556 0.8940
79 Mn 0.0339 0.5046 0.8561
80 Mn 0.5339 0.4954 0.1439

V	469.1	Å³/f.u.
energy above the most stable polymorph in this dataset	1	meV per atom
final energy	-7.081	eV per atom
energy with MP2020 corrections	-7.663	eV/atom
spin magnetization	20.00	μB per cell
symmetry	No. 4


(3)
Compound: Li3MnVP3O12
Source: the Materials Project
Functional: PBE+U
Structure: optimized geometry

Unit cell a=8.6369 b=8.6790 c=12.6580 alpha=105.63 beta=105.83 gamma=95.38
Atoms (fractional coordinates):
1 O 0.1532 0.1416 0.8013
2 O 0.1732 0.7356 0.2620
3 O 0.0535 0.3852 0.1623
4 O 0.8443 0.8429 0.6936
5 O 0.2602 0.5364 0.8846
6 O 0.4515 0.2938 0.8513
7 O 0.1619 0.1516 0.0495
8 O 0.0159 0.3372 0.4516
9 O 0.2992 0.4574 0.6036
10 O 0.7361 0.4612 0.6152
11 O 0.9897 0.6551 0.5438
12 O 0.9457 0.6154 0.8382
13 O 0.4507 0.2957 0.3514
14 O 0.6598 0.9885 0.3003
15 O 0.7003 0.5443 0.8973
16 O 0.3435 0.0089 0.7038
17 O 0.8273 0.2626 0.7365
18 O 0.5439 0.7025 0.6467
19 O 0.3437 0.0116 0.2048
20 O 0.2569 0.8260 0.4828
21 O 0.9842 0.6621 0.0477
22 O 0.7035 0.5506 0.3983
23 O 0.5997 0.9513 0.5869
24 O 0.3899 0.0521 0.4138
25 O 0.7379 0.1733 0.5147
26 O 0.7419 0.1739 0.0172
27 O 0.5978 0.9540 0.0894
28 O 0.5390 0.2642 0.1331
29 O 0.8261 0.2654 0.2377
30 O 0.8554 0.8503 0.4522
31 O 0.8447 0.8571 0.1978
32 O 0.5469 0.7050 0.1488
33 O 0.0146 0.3360 0.9529
34 O 0.2594 0.8259 0.9840
35 O 0.9482 0.6091 0.3343
36 O 0.5375 0.2623 0.6351
37 O 0.8388 0.8479 0.9516
38 O 0.2995 0.4544 0.1020
39 O 0.1740 0.7395 0.7651
40 O 0.7406 0.4639 0.1140
41 O 0.1575 0.1585 0.5569
42 O 0.6628 0.9854 0.7957
43 O 0.2620 0.5377 0.3849
44 O 0.0479 0.4006 0.6619
45 O 0.1492 0.1445 0.2971
46 O 0.4623 0.7369 0.8675
47 O 0.4619 0.7401 0.3655
48 O 0.4018 0.0468 0.9129
49 Mn 0.0589 0.3706 0.3146
50 Mn 0.0581 0.3733 0.8163
51 Mn 0.9415 0.6298 0.1836
52 Mn 0.6258 0.9435 0.4351
53 P 0.1388 0.3395 0.5681
54 P 0.8589 0.6650 0.9327
55 P 0.8652 0.6657 0.4315
56 P 0.6620 0.8615 0.6811
57 P 0.3378 0.1317 0.8173
58 P 0.3346 0.1346 0.3173
59 P 0.6612 0.8673 0.1842
60 P 0.7128 0.2868 0.6251
61 P 0.1414 0.3341 0.0677
62 P 0.7157 0.2899 0.1254
63 P 0.2852 0.7125 0.8751
64 P 0.2852 0.7126 0.3745
65 V 0.3770 0.0565 0.5690
66 V 0.9426 0.6225 0.6799
67 V 0.3798 0.0559 0.0701
68 V 0.6213 0.9442 0.9314
69 Li 0.4973 0.4996 0.4982
70 Li 0.9937 0.0013 0.1267
71 Li 0.7114 0.2878 0.3741
72 Li 0.4998 0.5002 0.7512
73 Li 0.0021 0.9970 0.3735
74 Li 0.5002 0.5020 0.2504
75 Li 0.4998 0.5000 0.0002
76 Li 0.7143 0.2920 0.8776
77 Li 0.9989 0.0015 0.6246
78 Li 0.2879 0.7098 0.1252
79 Li 0.0078 0.9984 0.8753
80 Li 0.2873 0.7104 0.6233

V	216.2	Å³/f.u.
energy above the most stable polymorph in this dataset	42	meV per atom
final energy	-7.012	eV per atom
energy with MP2020 corrections	-7.593	eV/atom
spin magnetization	24.00	μB per cell
symmetry	No. 1